# 1
An optimized crystal structure of La4Re6O19. Source: the Materials Project, functional GGA-PBE.

Values from the calculation:
Formation energy in meV per atom: -2687
Uncorrected energy in eV/atom: -8.734

```
29
Lattice="-4.575 4.575 4.575 4.575 -4.575 4.575 4.575 4.575 -4.575" Properties=species:S:1:pos:R:3 pbc="T T T"
La 1.432 1.432 -1.432
La 1.432 -1.432 1.432
La 7.718 1.432 1.432
La 3.143 3.143 3.143
Re 4.575 0.000 1.215
Re 4.575 3.360 0.000
Re 1.215 4.575 0.000
Re 3.360 0.000 4.575
Re 0.000 1.215 4.575
Re 0.000 4.575 3.360
O 0.000 0.000 0.000
O 2.941 0.000 0.000
O 6.209 0.000 0.000
O 4.458 1.981 -1.434
O 6.009 -0.117 2.594
O 3.141 0.117 2.594
O 0.000 2.941 0.000
O 0.000 0.000 2.941
O 1.981 -1.434 4.458
O 2.594 3.141 0.117
O 4.692 1.981 1.434
O 0.117 2.594 3.141
O 2.594 6.009 -0.117
O 1.981 1.434 4.692
O 0.000 6.209 0.000
O 0.000 0.000 6.209
O -1.434 4.458 1.981
O 1.434 4.692 1.981
O -0.117 2.594 6.009
```

---

# 2
An optimized crystal structure of Ca5Co2N4. Source: the Materials Project, functional GGA-PBE.

Values from the calculation:
Formation energy in meV per atom: -814
Uncorrected energy in eV/atom: -5.918

```
44
Lattice="8.097 0.000 0.000 0.000 8.097 0.000 0.000 0.000 12.038" Properties=species:S:1:pos:R:3 pbc="T T T"
Ca 0.623 5.118 1.162
Ca 0.623 7.028 7.180
Ca 1.070 4.672 4.857
Ca 1.070 7.474 10.876
Ca 2.024 2.024 1.823
Ca 2.024 2.024 7.842
Ca 2.979 4.672 10.876
Ca 2.979 7.474 4.857
Ca 3.426 5.118 7.180
Ca 3.426 7.028 1.162
Ca 4.672 1.070 10.876
Ca 4.672 2.979 4.857
Ca 5.118 0.623 7.180
Ca 5.118 3.426 1.162
Ca 6.073 6.073 4.195
Ca 6.073 6.073 10.214
Ca 7.028 0.623 1.162
Ca 7.028 3.426 7.180
Ca 7.474 1.070 4.857
Ca 7.474 2.979 10.876
Co 0.745 4.794 9.028
Co 0.745 7.352 3.009
Co 3.304 4.794 3.009
Co 3.304 7.352 9.028
Co 4.794 0.745 3.009
Co 4.794 3.304 9.028
Co 7.352 0.745 9.028
Co 7.352 3.304 3.009
N 0.399 5.182 10.747
N 0.399 6.964 4.728
N 1.133 4.448 7.310
N 1.133 7.698 1.291
N 2.916 4.448 1.291
N 2.916 7.698 7.310
N 3.650 5.182 4.728
N 3.650 6.964 10.747
N 4.448 1.133 1.291
N 4.448 2.916 7.310
N 5.182 0.399 4.728
N 5.182 3.650 10.747
N 6.964 0.399 10.747
N 6.964 3.650 4.728
N 7.698 1.133 7.310
N 7.698 2.916 1.291
```

---

# 3
An optimized crystal structure of Li3Ti8O16. Source: the Materials Project, functional GGA-PBE.

Values from the calculation:
Formation energy in meV per atom: -3281
Uncorrected energy in eV/atom: -8.357

```
27
Lattice="5.975 0.000 0.000 0.000 5.975 0.000 0.000 0.000 8.449" Properties=species:S:1:pos:R:3 pbc="T T T"
Li 0.000 0.000 0.000
Li 0.000 2.987 2.126
Li 2.987 0.000 6.323
Ti 0.000 1.518 5.261
Ti 0.000 4.457 5.261
Ti 1.503 2.987 7.358
Ti 1.518 0.000 3.188
Ti 2.987 1.503 1.091
Ti 2.987 4.472 1.091
Ti 4.457 0.000 3.188
Ti 4.472 2.987 7.358
O 0.000 1.337 3.270
O 0.000 1.641 7.289
O 0.000 4.334 7.289
O 0.000 4.638 3.270
O 1.314 2.987 5.410
O 1.337 0.000 5.179
O 1.641 0.000 1.160
O 1.641 2.987 0.941
O 2.987 1.314 3.038
O 2.987 1.641 7.507
O 2.987 4.334 7.507
O 2.987 4.661 3.038
O 4.334 0.000 1.160
O 4.334 2.987 0.941
O 4.638 0.000 5.179
O 4.661 2.987 5.410
```

---

# 4
An optimized crystal structure of K4GeSe4O4. Source: the Materials Project, functional GGA-PBE.

Values from the calculation:
Formation energy in meV per atom: -1154
Uncorrected energy in eV/atom: -4.238

```
26
Lattice="8.251 0.000 0.000 -3.521 8.281 0.000 -0.685 -2.956 11.653" Properties=species:S:1:pos:R:3 pbc="T T T"
K 0.528 -0.544 3.946
K -1.108 7.948 0.868
K 0.401 4.611 1.901
K -0.390 4.815 6.385
K 4.435 0.510 5.268
K 3.644 0.714 9.752
K 5.153 -2.623 10.785
K 3.517 5.869 7.707
Ge 0.450 0.762 8.433
Ge 3.594 4.563 3.220
Se -2.299 4.087 3.643
Se 0.422 -0.634 10.702
Se 1.681 -0.584 6.976
Se 2.403 2.468 3.604
Se 1.642 2.857 8.049
Se 2.364 5.910 4.677
Se 3.623 5.959 0.951
Se 6.344 1.239 8.010
O -0.394 -2.060 10.219
O -1.408 5.633 3.469
O 2.077 -1.074 10.939
O 3.160 0.998 2.948
O 0.885 4.327 8.705
O 1.967 6.399 0.714
O 5.453 -0.308 8.184
O 4.439 7.386 1.434
```

---

# 5
An optimized crystal structure of Ba2BiSbO6. Source: the Materials Project, functional GGA-PBE.

Values from the calculation:
Formation energy in meV per atom: -2445
Uncorrected energy in eV/atom: -6.187

```
40
Lattice="8.668 0.000 0.000 0.000 8.668 0.000 0.000 0.000 8.668" Properties=species:S:1:pos:R:3 pbc="T T T"
Ba 2.167 2.167 2.167
Ba 2.167 2.167 6.501
Ba 2.167 6.501 2.167
Ba 2.167 6.501 6.501
Ba 6.501 2.167 2.167
Ba 6.501 2.167 6.501
Ba 6.501 6.501 2.167
Ba 6.501 6.501 6.501
Bi 0.000 0.000 0.000
Bi 0.000 4.334 4.334
Bi 4.334 0.000 4.334
Bi 4.334 4.334 0.000
Sb 0.000 0.000 4.334
Sb 0.000 4.334 0.000
Sb 4.334 0.000 0.000
Sb 4.334 4.334 4.334
O 0.175 4.529 6.657
O 0.175 8.473 6.345
O 0.195 2.011 4.509
O 0.195 2.323 8.493
O 2.011 4.509 0.195
O 2.011 8.493 4.139
O 2.323 4.509 4.139
O 2.323 8.493 0.195
O 4.139 2.011 8.493
O 4.139 2.323 4.509
O 4.159 4.529 6.345
O 4.159 8.473 6.657
O 4.509 0.195 2.011
O 4.509 4.139 2.323
O 4.529 6.345 4.159
O 4.529 6.657 0.175
O 6.345 0.175 8.473
O 6.345 4.159 4.529
O 6.657 0.175 4.529
O 6.657 4.159 8.473
O 8.473 6.345 0.175
O 8.473 6.657 4.159
O 8.493 0.195 2.323
O 8.493 4.139 2.011
```

---

# 6
An optimized crystal structure of LiMnN. Source: the Materials Project, functional GGA-PBE.

Values from the calculation:
Formation energy in meV per atom: -191
Uncorrected energy in eV/atom: -6.540

```
6
Lattice="3.577 0.000 0.000 0.000 2.877 0.000 0.000 0.000 6.899" Properties=species:S:1:pos:R:3 pbc="T T T"
Li 0.000 0.000 0.000
Li 0.000 1.439 3.449
Mn 1.789 0.000 4.904
Mn 1.789 1.439 1.454
N 0.000 0.000 4.889
N 0.000 1.439 1.440
```

---

# 7
An optimized crystal structure of MgCd. Source: the Materials Project, functional GGA-PBE.

Values from the calculation:
Formation energy in meV per atom: -99
Uncorrected energy in eV/atom: -1.361

```
12
Lattice="4.977 0.000 0.000 0.000 3.260 0.000 0.000 0.000 16.059" Properties=species:S:1:pos:R:3 pbc="T T T"
Mg 0.000 0.000 0.000
Mg 0.000 0.000 5.295
Mg 0.000 1.630 8.029
Mg 0.000 1.630 13.325
Mg 2.488 0.000 3.410
Mg 2.488 1.630 11.439
Cd 0.000 0.000 10.675
Cd 0.000 1.630 2.646
Cd 2.488 0.000 8.812
Cd 2.488 0.000 14.135
Cd 2.488 1.630 0.783
Cd 2.488 1.630 6.105
```

---

# 8
An optimized crystal structure of LiHC2O4. Source: the Materials Project, functional GGA-PBE.

Values from the calculation:
Formation energy in meV per atom: -1310
Uncorrected energy in eV/atom: -6.410

```
8
Lattice="3.479 0.000 0.000 0.245 6.189 0.000 0.797 1.904 6.817" Properties=species:S:1:pos:R:3 pbc="T T T"
Li 0.000 0.000 0.000
H 1.988 5.929 0.019
C 0.486 1.718 2.918
C 2.832 4.699 4.506
O 0.912 1.667 4.015
O 2.272 4.871 3.483
O 3.401 4.512 5.516
O 3.530 1.775 1.828
```

---

# 9
An optimized crystal structure of Li3FeS3. Source: the Materials Project, functional GGA-PBE.

Values from the calculation:
Formation energy in meV per atom: -1116
Uncorrected energy in eV/atom: -4.701

```
28
Lattice="6.386 0.000 0.000 0.000 11.837 0.000 -4.978 0.000 6.311" Properties=species:S:1:pos:R:3 pbc="T T T"
Li 0.423 1.663 1.144
Li -2.067 4.255 4.299
Li 0.341 8.419 1.381
Li -2.148 9.337 4.536
Li -2.512 0.874 5.201
Li -0.023 5.044 2.045
Li 1.430 6.793 4.265
Li 3.919 10.963 1.110
Li 3.555 2.500 1.774
Li 1.066 3.418 4.929
Li 3.474 7.582 2.011
Li 0.985 10.174 5.166
Fe -1.219 6.889 5.580
Fe 1.270 10.867 2.425
Fe 0.137 0.971 3.886
Fe 2.627 4.948 0.731
S -3.371 6.787 6.271
S -0.882 10.969 3.116
S -0.667 2.843 2.983
S -3.156 3.076 6.138
S -0.974 6.910 3.397
S 1.515 10.846 0.242
S -0.108 0.991 6.068
S 2.381 4.928 2.913
S 4.563 8.762 0.173
S 2.074 8.994 3.328
S 2.289 0.868 3.195
S 4.778 5.051 0.039
```

---

# 10
An optimized crystal structure of BiF3. Source: the Materials Project, functional GGA-PBE.

Values from the calculation:
Formation energy in meV per atom: -2776
Uncorrected energy in eV/atom: -4.838

```
16
Lattice="6.547 0.000 0.000 0.000 7.104 0.000 0.000 0.000 5.010" Properties=species:S:1:pos:R:3 pbc="T T T"
Bi 0.882 1.776 0.149
Bi 2.392 5.328 2.655
Bi 4.156 1.776 2.356
Bi 5.665 5.328 4.861
F 0.265 5.328 1.819
F 1.052 3.981 4.267
F 1.052 6.675 4.267
F 2.221 0.429 1.761
F 2.221 3.123 1.761
F 3.008 1.776 4.324
F 3.539 5.328 0.686
F 4.326 3.981 3.249
F 4.326 6.675 3.249
F 5.495 0.429 0.744
F 5.495 3.123 0.744
F 6.282 1.776 3.192
```

---

# 11
An optimized crystal structure of Zr3TiPb4O12. Source: the Materials Project, functional GGA-PBE.

Values from the calculation:
Formation energy in meV per atom: -2808
Uncorrected energy in eV/atom: -7.784

```
20
Lattice="5.867 0.000 0.000 2.933 5.157 0.000 0.004 3.350 9.607" Properties=species:S:1:pos:R:3 pbc="T T T"
Zr 0.000 0.000 0.000
Zr 2.937 5.106 7.162
Zr 5.865 3.423 2.439
Ti 2.935 1.706 4.788
Pb 2.939 5.426 3.571
Pb 2.927 2.006 1.123
Pb 5.867 7.084 8.215
Pb 5.877 3.726 5.870
O 2.749 6.594 8.543
O 1.408 2.334 3.848
O 1.449 3.924 8.263
O 4.429 3.989 1.109
O 4.577 5.808 6.137
O 3.093 3.113 6.050
O 5.700 4.976 3.768
O 4.242 4.030 8.554
O 4.312 2.247 3.587
O 7.331 5.712 5.860
O 7.497 4.097 1.416
O 6.048 1.511 1.389
```

---

# 12
An optimized crystal structure of Na4SnGe2S6. Source: the Materials Project, functional GGA-PBE.

Values from the calculation:
Formation energy in meV per atom: -1039
Uncorrected energy in eV/atom: -4.143
Largest piezoelectric modulus in C/m²: 0.777

```
13
Lattice="3.476 -5.968 0.000 3.476 5.968 0.000 -2.263 0.000 7.430" Properties=species:S:1:pos:R:3 pbc="T T T"
Na 0.000 0.000 0.000
Na 2.345 -0.079 3.715
Na 3.476 -2.056 0.000
Na 2.345 -4.091 3.715
Sn 3.476 1.853 0.000
Ge 2.301 3.901 2.500
Ge 2.388 3.901 4.930
S 1.234 2.038 1.827
S -0.025 -0.213 5.576
S 0.960 -2.151 1.747
S 3.455 2.038 5.603
S 4.714 -0.213 1.854
S 3.729 -2.151 5.683
```

---

# 13
An optimized crystal structure of YMg2. Source: the Materials Project, functional GGA-PBE.

Values from the calculation:
Formation energy in meV per atom: -27
Uncorrected energy in eV/atom: -3.249

```
12
Lattice="3.353 0.000 0.000 0.000 17.238 0.000 0.000 0.000 5.467" Properties=species:S:1:pos:R:3 pbc="T T T"
Y 0.000 1.851 1.367
Y 0.000 15.387 4.100
Y 1.676 6.768 4.100
Y 1.676 10.470 1.367
Mg 0.000 3.804 4.100
Mg 0.000 7.620 1.367
Mg 0.000 9.617 4.100
Mg 0.000 13.434 1.367
Mg 1.676 0.999 4.100
Mg 1.676 4.815 1.367
Mg 1.676 12.423 4.100
Mg 1.676 16.239 1.367
```

---

# 14
An optimized crystal structure of InGaSe2. Source: the Materials Project, functional GGA-PBE.

Values from the calculation:
Formation energy in meV per atom: -723
Uncorrected energy in eV/atom: -3.680

```
16
Lattice="8.141 0.000 0.000 0.000 8.141 0.000 0.000 0.000 6.425" Properties=species:S:1:pos:R:3 pbc="T T T"
In 0.000 0.000 1.606
In 0.000 0.000 4.819
In 4.071 4.071 1.606
In 4.071 4.071 4.819
Ga 0.000 4.071 1.606
Ga 0.000 4.071 4.819
Ga 4.071 0.000 1.606
Ga 4.071 0.000 4.819
Se 1.321 2.750 0.000
Se 1.321 5.392 3.213
Se 2.750 1.321 3.213
Se 2.750 6.820 0.000
Se 5.392 1.321 0.000
Se 5.392 6.820 3.213
Se 6.820 2.750 3.213
Se 6.820 5.392 0.000
```